Below is Ti3FeCu2S8 after structural relaxation, with properties calculated at the GGA-PBE level.

a b c (Å): 6.9699 6.9699 6.9699
angles (deg): 60.02 60.02 60.02
With the nearest neighbours (Å) after each atom.
Atoms (fractional coordinates):
1 Ti 0.0000 0.5000 0.5000  6 S 2.42-2.44
2 Ti 0.5000 0.5000 0.0000  6 S 2.42-2.44
3 Ti 0.5000 0.0000 0.5000  6 S 2.42-2.44
4 Fe 0.5000 0.5000 0.5000  6 S 2.34
5 Cu 0.1237 0.1237 0.1237  4 S 2.23-2.24
6 Cu 0.8763 0.8763 0.8763  4 S 2.23-2.24
7 S 0.2629 0.7304 0.2629  1 Cu 2.24, 1 Fe 2.34, 2 Ti 2.44
8 S 0.2629 0.2629 0.7304  1 Cu 2.24, 1 Fe 2.34, 2 Ti 2.44
9 S 0.7304 0.2629 0.2629  1 Cu 2.24, 1 Fe 2.34, 2 Ti 2.44
10 S 0.2544 0.2544 0.2544  1 Cu 2.23, 3 Ti 2.42
11 S 0.7371 0.2696 0.7371  1 Cu 2.24, 1 Fe 2.34, 2 Ti 2.44
12 S 0.7371 0.7371 0.2696  1 Cu 2.24, 1 Fe 2.34, 2 Ti 2.44
13 S 0.2696 0.7371 0.7371  1 Cu 2.24, 1 Fe 2.34, 2 Ti 2.44
14 S 0.7456 0.7456 0.7456  1 Cu 2.23, 3 Ti 2.42

Density in g/cm³: 4.04
Total magnetic moment in μB/cell: 0.01
ΔE_f in eV/f.u.: -17.1
E in eV/cell: -86.54